No. 1
DFT (PBE-GGA) results for crystalline SmY3 at its relaxed geometry.

DFT total energy	-6.01	eV per atom
offset from the most stable computed form	0.0112	eV per atom
V	32.9	Å³/atom

The structure in CIF format:
```
data_SmY3
_chemical_formula_sum 'Sm2 Y6'
_symmetry_space_group_name_H-M 'I 4/m m m'
_symmetry_Int_Tables_number 139
_symmetry_space_group_name_Hall '-I 4 2'
_cell_length_a 5.084
_cell_length_b 5.084
_cell_length_c 10.174
_cell_angle_alpha 90.00
_cell_angle_beta 90.00
_cell_angle_gamma 90.00
loop_
_atom_site_label
_atom_site_type_symbol
_atom_site_fract_x
_atom_site_fract_y
_atom_site_fract_z
Sm1 Sm 0.000 0.000 0.000
Y1 Y 0.000 0.000 0.500
Y2 Y 0.000 0.500 0.250
```

No. 2
DFT (PBE-GGA) results for crystalline CsMg14Cr at its relaxed geometry.

DFT total energy	-1.80	eV per atom
V	24.6	Å³/atom

The structure in CIF format:
```
data_CsMg14Cr
_chemical_formula_sum 'Cs2 Mg28 Cr2'
_symmetry_space_group_name_H-M 'A m m 2'
_symmetry_Int_Tables_number 38
_symmetry_space_group_name_Hall 'A 2 -2'
_cell_length_a 10.726
_cell_length_b 6.499
_cell_length_c 11.303
_cell_angle_alpha 90.00
_cell_angle_beta 90.00
_cell_angle_gamma 90.00
loop_
_atom_site_label
_atom_site_type_symbol
_atom_site_fract_x
_atom_site_fract_y
_atom_site_fract_z
Cs1 Cs 0.000 0.000 0.000
Mg1 Mg 0.000 0.247 0.250
Mg2 Mg 0.242 0.000 0.663
Mg3 Mg 0.264 0.240 0.412
Mg4 Mg 0.270 0.000 0.170
Mg5 Mg 0.500 0.000 0.500
Mg6 Mg 0.500 0.000 0.998
Mg7 Mg 0.500 0.247 0.748
Cr1 Cr 0.000 0.000 0.495
```

No. 3
DFT (PBE-GGA) results for crystalline Rb2Sn4Se9O at its relaxed geometry.

DFT total energy	-3.78	eV per atom
V	34.7	Å³/atom

The structure in CIF format:
```
data_Rb2Sn4Se9O
_chemical_formula_sum 'Rb8 Sn16 Se36 O4'
_symmetry_space_group_name_H-M 'P n a 21'
_symmetry_Int_Tables_number 33
_symmetry_space_group_name_Hall 'P 2c -2n'
_cell_length_a 13.708
_cell_length_b 12.752
_cell_length_c 12.699
_cell_angle_alpha 90.00
_cell_angle_beta 90.00
_cell_angle_gamma 90.00
loop_
_atom_site_label
_atom_site_type_symbol
_atom_site_fract_x
_atom_site_fract_y
_atom_site_fract_z
Rb1 Rb 0.063 0.042 0.000
Rb2 Rb 0.072 0.440 0.416
Sn1 Sn 0.172 0.373 0.078
Sn2 Sn 0.173 0.370 0.753
Sn3 Sn 0.232 0.684 0.064
Sn4 Sn 0.233 0.683 0.771
Se1 Se 0.069 0.323 0.916
Se2 Se 0.093 0.240 0.620
Se3 Se 0.094 0.240 0.211
Se4 Se 0.120 0.550 0.159
Se5 Se 0.122 0.549 0.672
Se6 Se 0.147 0.792 0.916
Se7 Se 0.152 0.823 0.218
Se8 Se 0.154 0.818 0.611
Se9 Se 0.199 0.047 0.417
O1 O 0.230 0.594 0.428
```

No. 4
DFT (PBE-GGA) results for crystalline CeH3C3O6 at its relaxed geometry.

DFT total energy	-7.06	eV per atom
V	10.6	Å³/atom

The structure in CIF format:
```
data_CeH3C3O6
_chemical_formula_sum 'Ce3 H9 C9 O18'
_symmetry_space_group_name_H-M 'R 3 m'
_symmetry_Int_Tables_number 160
_symmetry_space_group_name_Hall 'R 3 -2"'
_cell_length_a 10.7877
_cell_length_b 10.7877
_cell_length_c 4.1169
_cell_angle_alpha 90.00
_cell_angle_beta 90.00
_cell_angle_gamma 120.00
loop_
_atom_site_label
_atom_site_type_symbol
_atom_site_fract_x
_atom_site_fract_y
_atom_site_fract_z
Ce1 Ce 0.0000 0.0000 0.0000
H1 H 0.1709 0.3418 0.2026
C1 C 0.0284 0.5142 0.1247
O1 O 0.0846 0.1692 0.5024
O2 O 0.1984 0.3967 0.6831
```

No. 5
DFT (PBE-GGA) results for crystalline In2Sb2H16C4Se7N2 at its relaxed geometry.

DFT total energy	-4.69	eV per atom
V	18.0	Å³/atom

The structure in CIF format:
```
data_In2Sb2H16C4Se7N2
_chemical_formula_sum 'In8 Sb8 H64 C16 Se28 N8'
_symmetry_space_group_name_H-M 'C 1 2/c 1'
_symmetry_Int_Tables_number 15
_symmetry_space_group_name_Hall '-C 2yc'
_cell_length_a 21.247
_cell_length_b 7.396
_cell_length_c 18.029
_cell_angle_alpha 90.00
_cell_angle_beta 123.17
_cell_angle_gamma 90.00
loop_
_atom_site_label
_atom_site_type_symbol
_atom_site_fract_x
_atom_site_fract_y
_atom_site_fract_z
In1 In 0.040 0.230 0.390
Sb1 Sb 0.033 0.264 0.954
H1 H 0.141 0.433 0.839
H2 H 0.157 0.362 0.718
H3 H 0.173 0.172 0.789
H4 H 0.177 0.322 0.284
H5 H 0.220 0.307 0.402
H6 H 0.226 0.114 0.640
H7 H 0.230 0.376 0.914
H8 H 0.249 0.207 0.200
C1 C 0.193 0.305 0.785
C2 C 0.218 0.383 0.349
Se1 Se 0.000 0.424 0.250
Se2 Se 0.080 0.135 0.112
Se3 Se 0.121 0.066 0.926
Se4 Se 0.127 0.460 0.517
N1 N 0.194 0.428 0.850
```

No. 6
DFT (PBE-GGA) results for crystalline Er3Si11Pt23 at its relaxed geometry.

DFT total energy	-6.61	eV per atom
V	16.6	Å³/atom

The structure in CIF format:
```
data_Er3Si11Pt23
_chemical_formula_sum 'Er24 Si88 Pt184'
_symmetry_space_group_name_H-M 'F m -3 m'
_symmetry_Int_Tables_number 225
_symmetry_space_group_name_Hall '-F 4 2 3'
_cell_length_a 17.011
_cell_length_b 17.011
_cell_length_c 17.011
_cell_angle_alpha 90.00
_cell_angle_beta 90.00
_cell_angle_gamma 90.00
loop_
_atom_site_label
_atom_site_type_symbol
_atom_site_fract_x
_atom_site_fract_y
_atom_site_fract_z
Er1 Er 0.000 0.250 0.250
Si1 Si 0.000 0.000 0.172
Si2 Si 0.106 0.106 0.394
Si3 Si 0.165 0.165 0.165
Pt1 Pt 0.000 0.000 0.375
Pt2 Pt 0.083 0.083 0.083
Pt3 Pt 0.085 0.085 0.252
Pt4 Pt 0.192 0.192 0.308
```

Energy of formation from the pure elements values, unit meV per atom, following the record order: 23.4 255.9 -426.3 -1725.9 -288.9 -856.3.